PBE CuTeAs, optimized geometry; electronic total energy = -4.006 eV per atom
1.0
-2.739 -2.834 1.442
3.648 -4.250 -1.424
5.300 0.708 11.459
Cu Te As
4 4 4
Cartesian
4.349 -4.258 2.944
0.241 -3.672 2.400
5.968 -2.703 9.076
1.860 -2.117 8.532
2.536 -3.329 1.327
3.673 -3.046 10.149
5.959 -3.875 6.755
0.250 -2.500 4.722
2.060 -3.353 6.482
4.149 -3.022 4.995
-1.504 -2.643 1.109
7.713 -3.733 10.367

PBE CaCO3, optimized geometry; total energy after the MP2020 corrections = -7.896 eV/atom
1.0
3.642 -6.308 0.000
3.642 6.308 0.000
0.000 0.000 25.568
O C Ca
54 18 18
Cartesian
2.252 -0.215 1.283
3.166 -5.483 0.000
5.034 -3.784 3.122
5.982 -1.763 7.538
1.312 1.842 22.590
1.489 -2.468 11.645
1.489 2.468 5.400
2.249 3.784 15.906
2.249 -3.784 1.139
3.988 2.837 21.224
5.794 -2.468 18.184
3.988 -2.837 21.389
5.106 -0.246 5.246
5.032 0.215 14.067
4.402 0.056 22.445
2.766 -4.299 16.060
4.517 -4.299 13.769
0.952 0.000 8.523
3.179 1.435 0.083
1.302 -1.763 22.291
6.331 0.000 21.307
2.832 -2.035 4.344
2.882 0.056 7.384
2.882 -0.056 9.662
2.252 0.215 15.762
4.451 -2.035 25.485
2.702 4.250 24.285
5.106 0.246 11.799
5.032 -0.215 2.978
3.295 -2.837 8.440
5.794 2.468 24.429
4.581 4.250 5.545
5.034 3.784 13.923
5.971 1.842 7.239
1.312 -1.842 20.023
4.105 -1.435 12.867
4.451 2.035 17.128
2.177 -0.246 24.583
5.982 1.763 9.507
5.971 -1.842 9.806
2.702 -4.250 18.328
4.105 1.435 4.179
4.517 4.299 3.276
3.166 5.483 17.045
3.179 -1.435 16.963
4.581 -4.250 11.501
4.402 -0.056 20.168
2.832 2.035 12.701
0.476 0.825 4.261
3.295 2.837 8.605
0.476 -0.825 12.784
2.177 0.246 18.030
2.766 4.299 0.985
1.302 1.763 20.322
1.537 -2.034 4.392
1.126 -1.950 12.784
4.635 3.960 21.175
2.530 0.314 0.131
4.754 -0.314 12.915
2.649 -3.960 8.391
2.516 4.358 17.045
2.530 -0.314 16.914
1.537 2.034 12.653
1.126 1.950 4.261
2.649 3.960 8.654
2.516 -4.358 0.000
5.032 0.000 21.307
4.635 -3.960 21.438
5.747 2.034 17.176
5.747 -2.034 25.437
4.754 0.314 4.130
2.251 0.000 8.523
3.642 6.189 2.131
3.347 -1.933 23.437
3.642 -2.044 2.131
0.103 0.059 19.176
3.642 2.044 14.915
3.591 2.132 23.437
0.103 -0.059 23.437
3.642 2.443 2.131
3.591 -2.132 19.176
3.692 2.132 6.392
3.642 -6.189 14.915
7.181 0.059 10.653
3.642 -2.443 14.915
3.347 1.933 19.176
3.936 1.933 10.653
3.936 -1.933 6.392
7.181 -0.059 6.392
3.692 -2.132 10.653

PBE BiTeIO3, optimized geometry; offset from the most stable computed form = 0 meV per atom; total energy after the MP2020 corrections = -5.245 eV/atom
1.0
7.174 0.000 0.000
0.000 8.140 0.000
0.000 2.641 9.218
I Te O Bi
4 4 12 4
Cartesian
6.014 5.675 1.288
4.747 1.605 1.288
2.427 9.176 7.930
1.160 5.106 7.930
5.912 9.947 6.709
1.262 0.833 2.509
4.849 5.877 6.709
2.325 4.904 2.509
6.335 8.089 6.541
3.540 6.667 5.583
4.426 4.019 6.541
1.077 5.002 4.004
2.748 6.762 2.677
2.510 9.072 4.004
7.127 8.184 3.635
6.097 5.779 5.214
0.047 2.597 5.583
0.839 2.692 2.677
3.634 4.114 3.635
4.664 1.709 5.214
0.897 6.990 5.488
2.690 2.919 5.488
4.484 7.862 3.730
6.277 3.791 3.730

PBE Gd2O3, optimized geometry; total energy after the MP2020 corrections = -12.454 eV/atom
1.0
1.791 7.224 0.000
-1.791 7.224 0.000
0.000 1.650 8.670
Gd O
6 9
Cartesian
0.000 15.345 7.058
0.000 0.753 1.612
0.000 4.679 1.187
0.000 6.087 4.258
0.000 11.419 7.483
0.000 10.011 4.411
0.000 13.090 2.464
0.000 12.505 5.411
0.000 8.216 2.966
0.000 13.516 8.412
0.000 3.593 3.259
0.000 7.882 5.703
0.000 7.224 0.000
0.000 2.582 0.258
0.000 3.008 6.206

PBE KCa9MgP7O28, optimized geometry; total energy after the MP2020 corrections = -7.566 eV/atom
1.0
12.798 -5.255 0.000
12.798 5.255 0.000
10.640 0.000 8.843
Ca O P K Mg
18 56 14 2 2
Cartesian
15.373 2.177 4.975
27.363 -0.197 3.041
8.765 0.059 5.832
20.746 -2.294 3.933
26.147 3.158 8.024
10.053 3.078 0.554
29.643 -2.153 8.341
11.466 -2.008 4.164
15.348 -2.118 5.074
10.028 -3.137 0.653
20.827 2.097 3.602
16.242 -0.059 1.411
12.350 -0.145 0.541
30.468 0.145 4.962
19.885 0.197 7.462
29.584 2.008 8.585
26.066 -2.961 8.355
11.526 2.153 3.920
27.016 -0.800 7.871
16.262 -3.806 3.464
14.008 3.807 0.972
23.901 -0.030 1.255
19.588 3.967 5.184
19.328 1.448 5.393
17.555 0.571 7.929
27.293 1.475 6.735
12.381 0.155 7.638
13.397 -0.921 5.595
20.542 -1.643 1.275
20.875 0.921 1.174
19.859 -0.155 3.217
17.006 1.389 3.289
13.944 -3.961 1.232
15.306 1.479 7.380
16.754 3.903 3.042
27.622 -0.675 5.388
15.591 -1.071 7.807
12.067 2.221 1.501
17.193 -2.832 1.240
16.994 -1.419 3.339
9.504 0.675 0.967
21.582 -1.449 7.885
14.390 -1.496 1.527
22.074 1.352 7.463
23.068 1.071 3.386
22.513 -2.423 5.661
18.913 -2.323 7.949
14.268 1.288 0.763
17.345 -2.930 6.098
12.025 -2.325 1.677
22.314 -3.836 7.760
18.697 -3.353 3.249
19.331 2.837 7.499
9.175 -1.475 2.313
19.264 -1.294 5.654
19.710 -3.759 5.948
14.011 2.418 3.077
11.113 0.104 5.413
13.593 -2.932 3.528
18.931 2.782 2.288
24.251 2.473 6.709
24.017 -1.902 7.670
29.306 0.000 7.152
22.784 -1.479 2.959
16.423 0.030 5.676
13.064 1.643 5.696
16.869 2.328 0.976
25.032 -0.571 3.508
22.189 2.927 5.397
17.387 3.035 5.922
22.326 3.866 7.710
11.188 0.000 2.730
18.591 -0.104 0.992
8.898 0.800 3.449
17.397 2.641 2.417
17.307 -2.859 2.784
16.223 0.218 7.227
22.627 -2.396 7.205
12.502 0.246 6.081
18.818 -2.583 6.419
9.681 0.000 2.362
27.799 0.000 6.784
19.980 -0.246 1.659
13.498 -2.672 1.998
22.717 2.614 6.838
13.599 2.426 1.585
18.919 2.829 6.006
23.701 -0.218 2.806
24.760 0.000 6.042
6.642 0.000 1.621
18.114 0.000 4.420
36.232 0.000 8.842

PBE ThTi2H6, optimized geometry; total energy after the MP2020 corrections = -5.296 eV/atom
1.0
4.899 0.782 -3.732
-5.564 2.180 -1.683
2.047 8.708 4.512
Ti H Th
8 24 4
Cartesian
1.219 2.802 -0.399
-2.282 8.478 1.359
1.024 4.354 2.256
0.496 7.390 2.199
0.887 4.281 -3.103
3.665 3.193 -2.262
0.000 0.000 0.000
0.164 8.869 -0.504
0.948 8.913 3.113
1.181 5.935 -2.369
-0.859 8.672 2.623
0.555 7.177 0.299
0.975 8.965 1.225
0.828 4.493 -1.202
0.434 2.758 -4.016
3.424 1.586 -3.111
0.591 10.505 0.203
-1.108 9.781 0.595
-1.279 6.884 1.696
0.201 5.736 1.466
2.490 1.890 -1.499
0.408 2.706 -2.129
-2.788 6.907 0.562
-0.156 7.327 -1.444
1.538 4.343 0.540
2.911 3.677 -0.572
2.242 2.999 -3.526
2.662 4.786 -2.600
4.171 4.764 -1.465
-1.528 7.993 -0.331
-2.042 10.084 2.208
0.791 1.166 -1.106
-1.953 2.240 -2.094
-1.176 5.543 -0.382
2.559 6.128 -0.521
3.335 9.431 1.191

PBE MgGa4Cu2O8, optimized geometry; offset from the most stable computed form = 121 meV per atom; total energy after the MP2020 corrections = -5.823 eV/atom
1.0
5.910 0.606 2.958
2.541 5.370 2.958
0.001 0.001 5.915
O Ga Cu Mg
8 4 2 1
Cartesian
3.051 2.157 4.659
6.067 2.535 8.872
3.050 2.157 7.173
7.565 5.349 7.577
4.412 4.875 8.872
7.565 5.349 10.171
4.754 5.184 5.917
6.472 2.754 5.917
8.449 5.974 5.916
2.414 1.707 2.959
1.780 2.990 5.916
3.412 0.682 5.916
5.300 3.748 7.286
5.296 3.745 4.546
0.321 0.227 2.957

PBE BaH2O2, optimized geometry; total energy after the MP2020 corrections = -5.749 eV/atom
1.0
-2.569 -6.592 -1.293
4.433 -0.064 -6.568
7.272 -2.758 5.106
O H Ba
16 16 8
Cartesian
5.933 -8.359 -3.093
8.315 -3.594 0.905
0.301 -2.768 -1.052
2.993 -4.134 -0.873
6.265 -5.192 -1.778
0.978 -5.659 -3.477
3.302 -1.138 0.387
5.682 -1.975 -2.351
7.301 -2.704 3.429
4.646 -0.600 -4.712
3.221 -3.538 -4.356
3.676 -7.160 -0.508
5.779 -5.988 1.605
8.749 -6.675 -1.715
5.386 -5.690 -5.400
3.861 -3.823 2.595
1.119 -3.293 -1.201
5.467 -1.439 -3.152
7.965 -6.063 -1.732
0.855 -6.488 0.697
2.456 -4.866 -0.510
6.413 -5.652 2.272
7.914 -3.345 1.780
7.449 -3.670 3.576
2.589 -3.832 -5.047
8.322 -3.056 -3.445
1.830 -6.428 -5.446
3.851 -6.207 -0.368
1.309 -4.739 -3.501
6.556 -4.395 -2.259
1.653 -7.382 -0.863
7.542 -1.928 -1.974
3.264 -6.680 2.259
9.800 -4.141 -1.350
5.520 -3.420 0.393
5.984 -3.013 -5.118
6.427 -7.572 -0.360
-0.820 -5.377 -1.169
3.851 -5.892 -3.055
2.948 -1.754 -2.379

PBE HgS, optimized geometry; total energy after the MP2020 corrections = -2.423 eV/atom
1.0
0.000 2.791 2.791
2.791 0.000 2.791
2.791 2.791 0.000
Hg S
1 1
Cartesian
0.000 0.000 0.000
2.791 2.791 2.791

PBE Pr2In3Cu, optimized geometry; offset from the most stable computed form = 9 meV per atom
1.0
0.000 0.000 -3.855
-2.420 -4.191 0.000
-7.295 4.212 0.000
In Pr Cu
3 2 1
Cartesian
-2.540 -1.327 -1.928
-7.148 -1.461 -1.928
-7.315 1.429 -1.928
-4.825 -0.008 0.000
-2.468 -4.163 0.000
-4.831 -2.799 -1.928

PBE Y3Al2, optimized geometry; electronic total energy = -5.733 eV per atom
1.0
-2.021 -2.005 -7.747
-7.730 -1.579 2.425
-1.917 7.266 -1.380
Y Al
12 8
Cartesian
-1.490 0.814 -4.218
-5.302 4.660 0.178
-2.448 4.447 -4.908
-6.585 -1.664 0.385
-3.878 2.560 -2.283
-6.359 -2.337 -3.471
-3.166 -1.919 -5.707
-3.848 1.693 -6.889
-3.392 -1.246 -1.851
-7.790 1.123 -4.418
-4.344 1.027 0.868
-7.819 1.990 0.187
-1.537 1.009 -0.905
-6.891 3.327 -2.415
-2.697 5.405 -1.740
-6.134 0.457 -1.869
-10.130 2.673 -5.797
-4.777 0.355 -4.287
-5.534 3.226 -4.832
-8.971 -1.722 -4.962

no.,ρ (g/cm3)
1,5.763
2,2.547
3,6.311
4,8.052
5,3.041
6,6.629
7,5.191
8,4.323
9,8.887
10,7.289
11,4.093